(1)
Here is a relaxed Ho2CoRu crystal from the Materials Project. Energies are from PBE.

abc: 6.7395 6.7395 6.7395
angles: 90.00 90.00 90.00
Space group Fm-3m (No. 225)
Symmetry-distinct sites (fractional):
Ho 0.2500 0.2500 0.2500
Co 0.0000 0.0000 0.0000
Ru 0.0000 0.0000 0.5000

Summary:
Calculated volume ... 77 Å³/f.u.
Crystal system ... cubic
Formation enthalpy at 0 K ... -6.449 kcal/mol of atoms

(2)
Here is a relaxed ZrVMo crystal from the Materials Project. Energies are from PBE.

abc: 5.2700 5.3603 7.4627
angles: 90.00 90.00 90.00
Space group Imma (No. 74)
Symmetry-distinct sites (fractional):
Zr 0.0000 0.2500 0.1255
V 0.0000 0.0000 0.5000
Mo 0.2500 0.2500 0.7500

Summary:
Calculated volume ... 53 Å³/f.u.
Crystal system ... orthorhombic
Formation enthalpy at 0 K ... -2.648 kcal/mol of atoms

(3)
Here is a relaxed Sm2IrPd crystal from the Materials Project. Energies are from PBE.

abc: 7.0810 7.0810 7.0810
angles: 90.00 90.00 90.00
Space group Fm-3m (No. 225)
Symmetry-distinct sites (fractional):
Sm 0.2500 0.2500 0.2500
Ir 0.0000 0.0000 0.0000
Pd 0.0000 0.0000 0.5000

Summary:
Calculated volume ... 89 Å³/f.u.
Crystal system ... cubic
Formation enthalpy at 0 K ... -18.021 kcal/mol of atoms

(4)
Here is a relaxed Tm3Ni11Ge4 crystal from the Materials Project. Energies are from PBE.

abc: 8.2666 8.2666 8.5375
angles: 90.00 90.00 120.00
Space group P6_3/mmc (No. 194)
Symmetry-distinct sites (fractional):
Tm 0.1956 0.3911 0.2500
Ni 0.1301 0.5650 0.7500
Ni 0.1564 0.3128 0.5954
Ni 0.3333 0.6667 0.5022
Ge 0.0000 0.0000 0.2500
Ge 0.0000 0.5000 0.0000

Summary:
Calculated volume ... 253 Å³/f.u.
Crystal system ... hexagonal
Formation enthalpy at 0 K ... -10.730 kcal/mol of atoms

(5)
Here is a relaxed MgBi2O4 crystal from the Materials Project. Energies are from PBE.

abc: 6.8414 11.3131 6.1002
angles: 90.00 90.00 90.00
Space group Pmmn (No. 59, origin choice 2)
Symmetry-distinct sites (fractional):
Mg 0.2500 0.2500 0.0345
Mg 0.2500 0.7500 0.3600
Bi 0.0000 0.0000 0.5000
Bi 0.2500 0.5410 0.9939
O 0.0127 0.6289 0.1776
O 0.2500 0.1038 0.2506
O 0.2500 0.6253 0.5979

Summary:
Relative energy among the computed polymorphs ... 0.291 eV/atom
Calculated volume ... 118 Å³/f.u.
Crystal system ... orthorhombic
Formation enthalpy at 0 K ... -39.363 kcal/mol of atoms

(6)
Here is a relaxed EuBi2Se4 crystal from the Materials Project. Energies are from PBE.

abc: 12.5126 4.2496 15.4515
angles: 90.00 90.00 90.00
Space group Pnma (No. 62)
Symmetry-distinct sites (fractional):
Eu 0.2457 0.2500 0.1616
Bi 0.0708 0.2500 0.9000
Bi 0.0789 0.2500 0.3904
Se 0.0056 0.7500 0.7876
Se 0.0832 0.2500 0.5845
Se 0.1470 0.7500 0.0293
Se 0.2191 0.7500 0.3139

Summary:
Calculated volume ... 205 Å³/f.u.
Crystal system ... orthorhombic
Formation enthalpy at 0 K ... -25.264 kcal/mol of atoms

(7)
Here is a relaxed Ag5Hg4P8Cl5 crystal from the Materials Project. Energies are from PBE.

abc: 14.6495 11.1511 6.3610
angles: 90.00 103.58 90.00
Space group C2/m (No. 12)
Symmetry-distinct sites (fractional):
Ag 0.0000 0.0000 0.0000
Ag 0.0000 0.3535 0.0000
Ag 0.2045 0.5000 0.9453
Hg 0.1536 0.1715 0.5330
P 0.0527 0.3488 0.4003
P 0.1418 0.5000 0.5543
P 0.2404 0.5000 0.3412
Cl 0.0000 0.0000 0.5000
Cl 0.1386 0.1649 0.0230

Summary:
Calculated volume ... 505 Å³/f.u.
Crystal system ... monoclinic
Formation enthalpy at 0 K ... -9.074 kcal/mol of atoms

(8)
Here is a relaxed DyGaCo crystal from the Materials Project. Energies are from PBE.

abc: 7.0113 4.3940 6.9019
angles: 90.00 90.00 90.00
Space group Pnma (No. 62)
Symmetry-distinct sites (fractional):
Dy 0.0192 0.2500 0.1964
Ga 0.1946 0.2500 0.6044
Co 0.1575 0.7500 0.4339

Summary:
Calculated volume ... 53 Å³/f.u.
Crystal system ... orthorhombic
Formation enthalpy at 0 K ... -11.461 kcal/mol of atoms

(9)
Here is a relaxed Ta2H36C12N6Cl2O crystal from the Materials Project. Energies are from PBE.

abc: 11.7097 13.3447 17.3575
angles: 90.00 111.59 90.00
Space group P2_1/c (No. 14)
Symmetry-distinct sites (fractional):
Ta 0.0814 0.2034 0.1870
Ta 0.3650 0.2411 0.6874
H 0.0087 0.1991 0.5229
H 0.0095 0.5721 0.6566
H 0.0290 0.5383 0.5630
H 0.0398 0.5689 0.1795
H 0.0526 0.5836 0.9571
H 0.0804 0.2354 0.9095
H 0.0939 0.5858 0.8057
H 0.1017 0.6873 0.1673
H 0.1321 0.6378 0.2681
H 0.1477 0.5111 0.6608
H 0.1498 0.1450 0.4146
H 0.1534 0.6852 0.0027
H 0.1633 0.5855 0.4853
H 0.1741 0.0012 0.9102
H 0.1819 0.6973 0.8162
H 0.1946 0.6291 0.3980
H 0.2111 0.6156 0.9022
H 0.2133 0.2482 0.8826
H 0.2350 0.0447 0.6226
H 0.2563 0.0382 0.5255
H 0.2951 0.1537 0.0275
H 0.2989 0.7165 0.6742
H 0.3596 0.5259 0.1139
H 0.3643 0.5967 0.6716
H 0.3663 0.0353 0.0630
H 0.3768 0.6437 0.2628
H 0.3837 0.6528 0.7685
H 0.3910 0.5927 0.3613
H 0.3940 0.7328 0.0829
H 0.4232 0.1022 0.5080
H 0.4409 0.1251 0.0217
H 0.4423 0.2293 0.3851
H 0.4554 0.5282 0.2976
H 0.4604 0.5639 0.8974
H 0.4777 0.6536 0.5909
H 0.4806 0.6943 0.9237
C 0.0481 0.5144 0.6275
C 0.0615 0.6451 0.2060
C 0.0616 0.6660 0.9572
C 0.1277 0.2160 0.3790
C 0.1382 0.6479 0.8478
C 0.1418 0.5743 0.4183
C 0.3036 0.0428 0.5935
C 0.3801 0.6686 0.7058
C 0.3833 0.1164 0.0593
C 0.4381 0.6035 0.3173
C 0.4712 0.1231 0.5737
C 0.4808 0.7284 0.6194
N 0.0100 0.5822 0.3710
N 0.0485 0.1966 0.2936
N 0.0502 0.7012 0.8749
N 0.3827 0.1313 0.6144
N 0.4470 0.1575 0.1422
N 0.4913 0.7176 0.7050
Cl 0.2370 0.1375 0.7626
Cl 0.2938 0.1097 0.2769
O 0.1926 0.2244 0.1271

Summary:
Calculated volume ... 631 Å³/f.u.
Crystal system ... monoclinic
Formation enthalpy at 0 K ... -6.804 kcal/mol of atoms

Number 1: energy -6.67 eV per atom. Number 2: energy -9.61 eV per atom. Number 3: energy -6.65 eV per atom. Number 4: energy -5.77 eV per atom. Number 5: energy -5.48 eV per atom. Number 6: energy -5.40 eV per atom. Number 7: energy -3.34 eV per atom. Number 8: energy -5.41 eV per atom. Number 9: energy -5.63 eV per atom.